[1]
Material: TaB2Mo3C2
Method: DFT, PBE-GGA
State: relaxed

Properties
formation energy: -0.41 eV/atom
E: -9.94 eV per atom

Lattice parameters (Å, degrees): 3.1001 8.9292 8.9292 20.22 90.00 90.00
Sites, in units of the cell vectors:
Ta 0.0000 0.0000 0.0000
B 0.0000 0.8443 0.8443
B 0.5000 0.7872 0.7872
Mo 0.0000 0.2434 0.2434
Mo 0.5000 0.3845 0.3845
Mo 0.5000 0.6321 0.6321
C 0.0000 0.1252 0.1252
C 0.5000 0.5076 0.5076

=====

[2]
Material: RbBC2N2
Method: DFT, PBE-GGA
State: relaxed

Properties
formation energy: 0.14 eV/atom
E: -6.87 eV per atom

Lattice parameters (Å, degrees): 9.4073 9.4073 9.4073 122.16 122.16 86.30
Sites, in units of the cell vectors:
Rb 0.0000 0.0000 0.0000
Rb 0.5000 0.0000 0.0000
Rb 0.5000 0.0000 0.5000
Rb 0.5000 0.5000 0.5000
B 0.0000 0.0000 0.5000
B 0.0000 0.5000 0.0000
B 0.0000 0.5000 0.5000
B 0.5000 0.5000 0.0000
C 0.1080 0.0738 0.7176
C 0.1096 0.3920 0.4658
C 0.1438 0.6096 0.2176
C 0.4262 0.6438 0.0342
C 0.5738 0.3562 0.9658
C 0.8562 0.3904 0.7824
C 0.8904 0.6080 0.5342
C 0.8920 0.9262 0.2824
N 0.1956 0.1276 0.8961
N 0.2005 0.3044 0.4320
N 0.2684 0.7005 0.3961
N 0.3724 0.7684 0.0680
N 0.6276 0.2316 0.9320
N 0.7316 0.2995 0.6039
N 0.7995 0.6956 0.5680
N 0.8044 0.8724 0.1039

=====

[3]
Material: TlBC4N4
Method: DFT, PBE-GGA
State: relaxed

Properties
formation energy: 0.07 eV/atom
E: -7.72 eV per atom

Lattice parameters (Å, degrees): 9.0099 9.0099 9.0099 132.48 132.48 69.48
Sites, in units of the cell vectors:
Tl 0.3750 0.1250 0.2500
Tl 0.6250 0.8750 0.7500
B 0.1250 0.3750 0.7500
B 0.8750 0.6250 0.2500
C 0.0867 0.7840 0.4991
C 0.0877 0.5867 0.8027
C 0.2150 0.4123 0.9991
C 0.2840 0.2850 0.6973
C 0.7160 0.7150 0.3027
C 0.7850 0.5877 0.0009
C 0.9123 0.4133 0.1973
C 0.9133 0.2160 0.5009
N 0.0575 0.7427 0.8424
N 0.2427 0.9003 0.6852
N 0.2849 0.4425 0.1852
N 0.4003 0.2151 0.6576
N 0.5997 0.7849 0.3424
N 0.7151 0.5575 0.8148
N 0.7573 0.0997 0.3148
N 0.9425 0.2573 0.1576

=====

[4]
Material: NaBC
Method: DFT, PBE-GGA
State: relaxed

Properties
formation energy: -0.01 eV/atom
E: -5.75 eV per atom

Lattice parameters (Å, degrees): 2.8182 2.8182 8.3902 90.00 90.00 120.00
Sites, in units of the cell vectors:
Na 0.0000 0.0000 0.0000
Na 0.0000 0.0000 0.5000
B 0.3333 0.6667 0.2500
B 0.6667 0.3333 0.7500
C 0.3333 0.6667 0.7500
C 0.6667 0.3333 0.2500

=====

[5]
Material: NaBC4O8
Method: DFT, PBE-GGA
State: relaxed

Properties
formation energy: -1.83 eV/atom
E: -7.48 eV per atom

Lattice parameters (Å, degrees): 6.6911 6.6911 8.0395 90.00 90.00 102.60
Sites, in units of the cell vectors:
Na 0.0712 0.9288 0.7500
Na 0.9288 0.0712 0.2500
B 0.4303 0.5697 0.2500
B 0.5697 0.4303 0.7500
C 0.2233 0.7767 0.1545
C 0.2233 0.7767 0.3455
C 0.2706 0.5456 0.7500
C 0.4544 0.7294 0.7500
C 0.5456 0.2706 0.2500
C 0.7294 0.4544 0.2500
C 0.7767 0.2233 0.6545
C 0.7767 0.2233 0.8455
O 0.0916 0.5588 0.7500
O 0.1277 0.8723 0.0670
O 0.1277 0.8723 0.4330
O 0.3415 0.3748 0.7500
O 0.3444 0.6556 0.1031
O 0.3444 0.6556 0.3969
O 0.3748 0.3415 0.2500
O 0.4412 0.9084 0.7500
O 0.5588 0.0916 0.2500
O 0.6252 0.6585 0.7500
O 0.6556 0.3444 0.6031
O 0.6556 0.3444 0.8969
O 0.6585 0.6252 0.2500
O 0.8723 0.1277 0.5670
O 0.8723 0.1277 0.9330
O 0.9084 0.4412 0.2500

=====

[6]
Material: Na5Sr2B10C2O26
Method: DFT, PBE-GGA
State: relaxed

Properties
formation energy: -2.51 eV/atom
E: -7.09 eV per atom

Lattice parameters (Å, degrees): 6.6461 6.6461 27.2915 93.89 93.89 59.85
Sites, in units of the cell vectors:
Na 0.2022 0.7978 0.7500
Na 0.2224 0.2380 0.5695
Na 0.2279 0.7195 0.0505
Na 0.2380 0.2224 0.0695
Na 0.2805 0.7721 0.4495
Na 0.7195 0.2279 0.5505
Na 0.7620 0.7776 0.9305
Na 0.7721 0.2805 0.9495
Na 0.7776 0.7620 0.4305
Na 0.7978 0.2022 0.2500
Sr 0.1947 0.3404 0.3353
Sr 0.3404 0.1947 0.8353
Sr 0.6596 0.8053 0.1647
Sr 0.8053 0.6596 0.6647
B 0.0069 0.8492 0.8490
B 0.1508 0.9931 0.6510
B 0.1680 0.7192 0.1729
B 0.1809 0.7576 0.5740
B 0.2424 0.8191 0.9260
B 0.2539 0.3177 0.1937
B 0.2808 0.8320 0.3271
B 0.3177 0.2539 0.6937
B 0.3775 0.5587 0.6531
B 0.4413 0.6225 0.8469
B 0.5587 0.3775 0.1531
B 0.6225 0.4413 0.3469
B 0.6823 0.7461 0.3063
B 0.7192 0.1680 0.6729
B 0.7461 0.6823 0.8063
B 0.7576 0.1809 0.0740
B 0.8191 0.2424 0.4260
B 0.8320 0.2808 0.8271
B 0.8492 0.0069 0.3490
B 0.9931 0.1508 0.1510
C 0.2622 0.3025 0.9490
C 0.3025 0.2622 0.4490
C 0.6975 0.7378 0.5510
C 0.7378 0.6975 0.0510
O 0.0048 0.9499 0.1766
O 0.0232 0.8934 0.9037
O 0.0501 0.9952 0.3234
O 0.0801 0.3518 0.9213
O 0.0945 0.5692 0.1863
O 0.1066 0.9768 0.5963
O 0.1472 0.7435 0.5245
O 0.1604 0.2077 0.6606
O 0.1864 0.4663 0.4315
O 0.2077 0.1604 0.1606
O 0.2095 0.2959 0.2437
O 0.2171 0.6398 0.8332
O 0.2402 0.3755 0.9944
O 0.2549 0.4981 0.6868
O 0.2565 0.8528 0.9755
O 0.2846 0.5560 0.6010
O 0.2959 0.2095 0.7437
O 0.3518 0.0801 0.4213
O 0.3602 0.7829 0.6668
O 0.3658 0.6157 0.3454
O 0.3755 0.2402 0.4944
O 0.3843 0.6343 0.1546
O 0.4308 0.9055 0.3137
O 0.4440 0.7154 0.8990
O 0.4663 0.1864 0.9315
O 0.4981 0.2549 0.1868
O 0.5019 0.7451 0.8132
O 0.5337 0.8136 0.0685
O 0.5560 0.2846 0.1010
O 0.5692 0.0945 0.6863
O 0.6157 0.3658 0.8454
O 0.6245 0.7598 0.5056
O 0.6343 0.3843 0.6546
O 0.6398 0.2171 0.3332
O 0.6482 0.9199 0.5787
O 0.7041 0.7905 0.2563
O 0.7154 0.4440 0.3990
O 0.7435 0.1472 0.0245
O 0.7451 0.5019 0.3132
O 0.7598 0.6245 0.0056
O 0.7829 0.3602 0.1668
O 0.7905 0.7041 0.7563
O 0.7923 0.8396 0.8394
O 0.8136 0.5337 0.5685
O 0.8396 0.7923 0.3394
O 0.8528 0.2565 0.4755
O 0.8934 0.0232 0.4037
O 0.9055 0.4308 0.8137
O 0.9199 0.6482 0.0787
O 0.9499 0.0048 0.6766
O 0.9768 0.1066 0.0963
O 0.9952 0.0501 0.8234

=====

[7]
Material: Nb7B4C4
Method: DFT, PBE-GGA
State: relaxed

Properties
formation energy: -0.63 eV/atom
E: -9.58 eV per atom

Lattice parameters (Å, degrees): 16.4550 16.4550 16.4550 168.99 168.71 15.80
Sites, in units of the cell vectors:
Nb 0.0000 0.0000 0.0000
Nb 0.0817 0.5817 0.5000
Nb 0.2143 0.7143 0.5000
Nb 0.3521 0.8521 0.5000
Nb 0.6479 0.1479 0.5000
Nb 0.7857 0.2857 0.5000
Nb 0.9183 0.4183 0.5000
B 0.4432 0.9432 0.5000
B 0.4716 0.4716 0.0000
B 0.5284 0.5284 0.0000
B 0.5568 0.0568 0.5000
C 0.1472 0.6472 0.5000
C 0.2847 0.7847 0.5000
C 0.7153 0.2153 0.5000
C 0.8528 0.3528 0.5000

=====

[8]
Material: Nd15B6C20
Method: DFT, PBE-GGA
State: relaxed

Properties
formation energy: -0.23 eV/atom
E: -7.45 eV per atom

Lattice parameters (Å, degrees): 8.3879 8.4487 9.2330 84.41 84.76 89.46
Sites, in units of the cell vectors:
Nd 0.0000 0.0000 0.0000
Nd 0.0652 0.8609 0.3609
Nd 0.1324 0.5314 0.6429
Nd 0.1953 0.5940 0.0734
Nd 0.2588 0.2723 0.3680
Nd 0.3293 0.9334 0.6503
Nd 0.4035 0.1979 0.0080
Nd 0.4580 0.6572 0.3609
Nd 0.5420 0.3428 0.6391
Nd 0.5965 0.8021 0.9920
Nd 0.6707 0.0666 0.3497
Nd 0.7412 0.7277 0.6320
Nd 0.8047 0.4060 0.9266
Nd 0.8676 0.4686 0.3571
Nd 0.9348 0.1391 0.6391
B 0.0036 0.7984 0.7862
B 0.1882 0.2297 0.7929
B 0.4479 0.6080 0.7920
B 0.5521 0.3920 0.2080
B 0.8118 0.7703 0.2071
B 0.9964 0.2016 0.2138
C 0.0374 0.8319 0.6286
C 0.0741 0.2848 0.0773
C 0.1153 0.2951 0.9271
C 0.1667 0.5632 0.3531
C 0.2380 0.2358 0.6357
C 0.3062 0.8948 0.1015
C 0.3527 0.9420 0.2293
C 0.3672 0.9648 0.3691
C 0.4339 0.6400 0.6347
C 0.4944 0.5133 0.9248
C 0.5056 0.4867 0.0752
C 0.5661 0.3600 0.3653
C 0.6328 0.0352 0.6309
C 0.6473 0.0580 0.7707
C 0.6938 0.1052 0.8985
C 0.7620 0.7642 0.3643
C 0.8333 0.4368 0.6469
C 0.8847 0.7049 0.0729
C 0.9259 0.7152 0.9227
C 0.9626 0.1681 0.3714

=====

[9]
Material: Nd10B9C12
Method: DFT, PBE-GGA
State: relaxed

Properties
formation energy: -0.30 eV/atom
E: -7.35 eV per atom

Lattice parameters (Å, degrees): 8.4593 8.4593 25.3215 90.00 90.00 90.00
Sites, in units of the cell vectors:
Nd 0.0127 0.3168 0.0829
Nd 0.0145 0.0990 0.8105
Nd 0.0853 0.8048 0.4462
Nd 0.0930 0.6035 0.9597
Nd 0.0990 0.0145 0.1895
Nd 0.1035 0.4070 0.7097
Nd 0.1832 0.5127 0.3329
Nd 0.1952 0.9147 0.0538
Nd 0.1984 0.2862 0.5716
Nd 0.2138 0.6984 0.8216
Nd 0.2862 0.1984 0.4284
Nd 0.3016 0.7862 0.6784
Nd 0.3048 0.4147 0.1962
Nd 0.3168 0.0127 0.9171
Nd 0.3965 0.9070 0.5403
Nd 0.4010 0.5145 0.0605
Nd 0.4070 0.1035 0.2903
Nd 0.4147 0.3048 0.8038
Nd 0.4855 0.5990 0.4395
Nd 0.4873 0.8168 0.1671
Nd 0.5127 0.1832 0.6671
Nd 0.5145 0.4010 0.9395
Nd 0.5853 0.6952 0.3038
Nd 0.5930 0.8965 0.7903
Nd 0.5990 0.4855 0.5605
Nd 0.6035 0.0930 0.0403
Nd 0.6832 0.9873 0.4171
Nd 0.6952 0.5853 0.6962
Nd 0.6984 0.2138 0.1784
Nd 0.7138 0.8016 0.9284
Nd 0.7862 0.3016 0.3216
Nd 0.8016 0.7138 0.0716
Nd 0.8048 0.0853 0.5538
Nd 0.8168 0.4873 0.8329
Nd 0.8965 0.5930 0.2097
Nd 0.9010 0.9855 0.6895
Nd 0.9070 0.3965 0.4597
Nd 0.9147 0.1952 0.9462
Nd 0.9855 0.9010 0.3105
Nd 0.9873 0.6832 0.5829
B 0.0110 0.8766 0.8925
B 0.0822 0.0822 0.5000
B 0.0891 0.1984 0.3424
B 0.1234 0.9890 0.6075
B 0.1358 0.6413 0.1165
B 0.1413 0.3642 0.8665
B 0.1984 0.0891 0.6576
B 0.2033 0.7176 0.2252
B 0.2176 0.2967 0.9752
B 0.2824 0.7967 0.2748
B 0.2967 0.2176 0.0248
B 0.3016 0.5891 0.5924
B 0.3587 0.8642 0.3835
B 0.3642 0.1413 0.1335
B 0.3766 0.4890 0.6425
B 0.4109 0.6984 0.9076
B 0.4178 0.5822 0.7500
B 0.4890 0.3766 0.3575
B 0.5110 0.6234 0.8575
B 0.5822 0.4178 0.2500
B 0.5891 0.3016 0.4076
B 0.6234 0.5110 0.1425
B 0.6358 0.8587 0.6335
B 0.6413 0.1358 0.8835
B 0.6984 0.4109 0.0924
B 0.7033 0.7824 0.5248
B 0.7176 0.2033 0.7748
B 0.7824 0.7033 0.4752
B 0.7967 0.2824 0.7252
B 0.8016 0.9109 0.1576
B 0.8587 0.6358 0.3665
B 0.8642 0.3587 0.6165
B 0.8766 0.0110 0.1075
B 0.9109 0.8016 0.8424
B 0.9178 0.9178 0.0000
B 0.9890 0.1234 0.3925
C 0.0058 0.3101 0.1854
C 0.0108 0.9026 0.9506
C 0.0267 0.2883 0.2381
C 0.0751 0.2158 0.2836
C 0.0974 0.9892 0.5494
C 0.1062 0.6147 0.0604
C 0.1147 0.3938 0.8104
C 0.1798 0.7024 0.1683
C 0.1899 0.5058 0.4354
C 0.2024 0.3202 0.9183
C 0.2117 0.5267 0.4881
C 0.2158 0.0751 0.7164
C 0.2842 0.5751 0.5336
C 0.2883 0.0267 0.7619
C 0.2976 0.8202 0.3317
C 0.3101 0.0058 0.8146
C 0.3202 0.2024 0.0817
C 0.3853 0.8938 0.4396
C 0.3938 0.1147 0.1896
C 0.4026 0.4892 0.7006
C 0.4249 0.7158 0.9664
C 0.4733 0.7883 0.0119
C 0.4892 0.4026 0.2994
C 0.4942 0.8101 0.0646
C 0.5058 0.1899 0.5646
C 0.5108 0.5974 0.7994
C 0.5267 0.2117 0.5119
C 0.5751 0.2842 0.4664
C 0.5974 0.5108 0.2006
C 0.6062 0.8853 0.6896
C 0.6147 0.1062 0.9396
C 0.6798 0.7976 0.5817
C 0.6899 0.9942 0.3146
C 0.7024 0.1798 0.8317
C 0.7117 0.9733 0.2619
C 0.7158 0.4249 0.0336
C 0.7842 0.9249 0.2164
C 0.7883 0.4733 0.9881
C 0.7976 0.6798 0.4183
C 0.8101 0.4942 0.9354
C 0.8202 0.2976 0.6683
C 0.8853 0.6062 0.3104
C 0.8938 0.3853 0.5604
C 0.9026 0.0108 0.0494
C 0.9249 0.7842 0.7836
C 0.9733 0.7117 0.7381
C 0.9892 0.0974 0.4506
C 0.9942 0.6899 0.6854

=====

[10]
Material: NdNi2B2C
Method: DFT, PBE-GGA
State: relaxed

Properties
formation energy: -0.45 eV/atom
E: -6.94 eV per atom

Lattice parameters (Å, degrees): 5.6430 5.6430 5.6430 141.78 141.78 55.16
Sites, in units of the cell vectors:
Nd 0.0000 0.0000 0.0000
Ni 0.2500 0.7500 0.5000
Ni 0.7500 0.2500 0.5000
B 0.3503 0.3503 0.0000
B 0.6497 0.6497 0.0000
C 0.5000 0.5000 0.0000

=====

[11]
Material: NdB2Rh2C
Method: DFT, PBE-GGA
State: relaxed

Properties
formation energy: -0.58 eV/atom
E: -7.59 eV per atom

Lattice parameters (Å, degrees): 5.8238 5.8238 5.8238 141.11 141.11 56.17
Sites, in units of the cell vectors:
Nd 0.0000 0.0000 0.0000
B 0.3541 0.3541 0.0000
B 0.6459 0.6459 0.0000
Rh 0.2500 0.7500 0.5000
Rh 0.7500 0.2500 0.5000
C 0.5000 0.5000 0.0000